No. 1
{"formula": "SrV12O30", "functional": "PBE with a Hubbard U", "state": "relaxed", "crystal_system": "monoclinic", "final_energy_ev_per_atom": -7.333, "lattice": [[-9.189, 1.275, -6.352], [4.878, -2.270, -7.513], [-0.418, -11.721, -1.747]], "species": ["Sr", "Sr", "V", "V", "V", "V", "V", "V", "V", "V", "V", "V", "V", "V", "V", "V", "V", "V", "V", "V", "V", "V", "V", "V", "V", "V", "O", "O", "O", "O", "O", "O", "O", "O", "O", "O", "O", "O", "O", "O", "O", "O", "O", "O", "O", "O", "O", "O", "O", "O", "O", "O", "O", "O", "O", "O", "O", "O", "O", "O", "O", "O", "O", "O", "O", "O", "O", "O", "O", "O", "O", "O", "O", "O", "O", "O", "O", "O", "O", "O", "O", "O", "O", "O", "O", "O"], "frac_coords": [[0.250, 0.046, 0.512], [0.750, 0.954, 0.488], [0.250, 0.549, 0.590], [0.750, 0.451, 0.410], [0.250, 0.207, 0.809], [0.750, 0.793, 0.191], [0.250, 0.514, 0.894], [0.750, 0.486, 0.106], [0.250, 0.791, 0.973], [0.750, 0.209, 0.027], [0.414, 0.474, 0.408], [0.914, 0.526, 0.592], [0.586, 0.526, 0.592], [0.086, 0.474, 0.408], [0.418, 0.798, 0.183], [0.918, 0.202, 0.817], [0.582, 0.202, 0.817], [0.082, 0.798, 0.183], [0.416, 0.488, 0.104], [0.916, 0.512, 0.896], [0.584, 0.512, 0.896], [0.084, 0.488, 0.104], [0.416, 0.210, 0.027], [0.916, 0.790, 0.973], [0.584, 0.790, 0.973], [0.084, 0.210, 0.027], [0.250, 0.731, 0.573], [0.750, 0.269, 0.427], [0.250, 0.527, 0.431], [0.750, 0.473, 0.569], [0.250, 0.204, 0.670], [0.750, 0.796, 0.330], [0.250, 0.984, 0.895], [0.750, 0.016, 0.105], [0.250, 0.263, 0.979], [0.750, 0.737, 0.021], [0.250, 0.449, 0.750], [0.750, 0.551, 0.250], [0.250, 0.711, 0.834], [0.750, 0.289, 0.166], [0.250, 0.537, 0.058], [0.750, 0.463, 0.942], [0.250, 0.792, 0.143], [0.750, 0.208, 0.857], [0.250, 0.051, 0.310], [0.750, 0.949, 0.690], [0.396, 0.291, 0.433], [0.896, 0.709, 0.567], [0.604, 0.709, 0.567], [0.104, 0.291, 0.433], [0.417, 0.505, 0.566], [0.917, 0.495, 0.434], [0.583, 0.495, 0.434], [0.083, 0.505, 0.566], [0.422, 0.778, 0.326], [0.922, 0.222, 0.674], [0.578, 0.222, 0.674], [0.078, 0.778, 0.326], [0.417, 0.014, 0.108], [0.917, 0.986, 0.892], [0.583, 0.986, 0.892], [0.083, 0.014, 0.108], [0.417, 0.737, 0.016], [0.917, 0.263, 0.984], [0.583, 0.263, 0.984], [0.083, 0.737, 0.016], [0.415, 0.556, 0.245], [0.915, 0.444, 0.755], [0.585, 0.444, 0.755], [0.085, 0.556, 0.245], [0.417, 0.291, 0.163], [0.917, 0.709, 0.837], [0.583, 0.709, 0.837], [0.083, 0.291, 0.163], [0.416, 0.463, 0.939], [0.916, 0.537, 0.061], [0.584, 0.537, 0.061], [0.084, 0.463, 0.939], [0.422, 0.208, 0.858], [0.922, 0.792, 0.142], [0.578, 0.792, 0.142], [0.078, 0.208, 0.858], [0.491, 0.986, 0.556], [0.991, 0.014, 0.444], [0.509, 0.014, 0.444], [0.009, 0.986, 0.556]]}

***

No. 2
{"formula": "Li3Mn2P3O12", "functional": "PBE with a Hubbard U", "state": "relaxed", "polymorph_energy_mev_per_atom": 62, "crystal_system": "triclinic", "lattice": [[-3.518, -5.005, 5.963], [-4.916, -6.816, -9.264], [7.045, -5.007, -0.049]], "species": ["Li", "Li", "Li", "Li", "Li", "Li", "Li", "Li", "Li", "Li", "Li", "Li", "Mn", "Mn", "Mn", "Mn", "Mn", "Mn", "Mn", "Mn", "P", "P", "P", "P", "P", "P", "P", "P", "P", "P", "P", "P", "O", "O", "O", "O", "O", "O", "O", "O", "O", "O", "O", "O", "O", "O", "O", "O", "O", "O", "O", "O", "O", "O", "O", "O", "O", "O", "O", "O", "O", "O", "O", "O", "O", "O", "O", "O", "O", "O", "O", "O", "O", "O", "O", "O", "O", "O", "O", "O"], "frac_coords": [[0.083, 0.696, 0.091], [0.081, 0.759, 0.696], [0.211, 0.171, 0.782], [0.289, 0.329, 0.282], [0.418, 0.739, 0.194], [0.417, 0.802, 0.590], [0.583, 0.197, 0.408], [0.581, 0.261, 0.805], [0.711, 0.671, 0.717], [0.789, 0.829, 0.216], [0.917, 0.240, 0.306], [0.917, 0.303, 0.910], [0.248, 0.902, 0.039], [0.252, 0.596, 0.539], [0.253, 0.391, 0.958], [0.248, 0.112, 0.455], [0.753, 0.890, 0.543], [0.748, 0.611, 0.044], [0.749, 0.403, 0.461], [0.750, 0.097, 0.959], [0.962, 0.504, 0.751], [0.898, 0.135, 0.614], [0.900, 0.841, 0.905], [0.603, 0.365, 0.114], [0.600, 0.657, 0.403], [0.537, 0.998, 0.246], [0.461, 0.004, 0.749], [0.399, 0.343, 0.596], [0.038, 0.498, 0.255], [0.103, 0.864, 0.387], [0.399, 0.635, 0.885], [0.100, 0.157, 0.097], [0.172, 0.440, 0.178], [0.917, 0.149, 0.107], [0.928, 0.406, 0.321], [0.925, 0.836, 0.408], [0.896, 0.424, 0.629], [0.870, 0.013, 0.613], [0.862, 0.174, 0.784], [0.851, 0.801, 0.743], [0.051, 0.432, 0.866], [0.084, 0.851, 0.895], [0.073, 0.594, 0.683], [0.076, 0.164, 0.590], [0.102, 0.577, 0.378], [0.133, 0.986, 0.391], [0.140, 0.825, 0.217], [0.137, 0.249, 0.978], [0.152, 0.193, 0.262], [0.949, 0.568, 0.140], [0.176, 0.058, 0.035], [0.198, 0.804, 0.509], [0.302, 0.693, 0.007], [0.323, 0.445, 0.539], [0.328, 0.061, 0.667], [0.362, 0.672, 0.715], [0.350, 0.302, 0.757], [0.371, 0.512, 0.888], [0.363, 0.254, 0.472], [0.396, 0.925, 0.871], [0.427, 0.906, 0.179], [0.416, 0.648, 0.394], [0.425, 0.337, 0.092], [0.448, 0.069, 0.362], [0.551, 0.932, 0.634], [0.576, 0.664, 0.909], [0.583, 0.353, 0.605], [0.571, 0.095, 0.816], [0.599, 0.079, 0.123], [0.636, 0.750, 0.522], [0.631, 0.487, 0.111], [0.651, 0.694, 0.238], [0.640, 0.326, 0.283], [0.672, 0.941, 0.322], [0.676, 0.558, 0.465], [0.698, 0.306, 0.991], [0.801, 0.193, 0.492], [0.824, 0.941, 0.963], [0.828, 0.561, 0.832], [0.866, 0.751, 0.027]]}

***

No. 3
{"formula": "LiCo2P4H3O16", "functional": "PBE with a Hubbard U", "state": "relaxed", "crystal_system": "triclinic", "final_energy_ev_per_atom": -6.265, "lattice": [[-1.373, 4.160, -2.332], [-2.266, -5.440, -4.819], [-7.106, -0.457, 4.008]], "species": ["Li", "Co", "Co", "P", "P", "P", "P", "H", "H", "H", "O", "O", "O", "O", "O", "O", "O", "O", "O", "O", "O", "O", "O", "O", "O", "O"], "frac_coords": [[0.399, 0.855, 0.120], [0.998, 0.496, 0.994], [0.497, 0.998, 0.507], [0.101, 0.243, 0.668], [0.389, 0.248, 0.161], [0.606, 0.748, 0.837], [0.895, 0.758, 0.332], [0.343, 0.378, 0.477], [0.668, 0.626, 0.527], [0.936, 0.974, 0.967], [0.154, 0.859, 0.434], [0.024, 0.302, 0.835], [0.214, 0.395, 0.153], [0.253, 0.415, 0.574], [0.338, 0.677, 0.926], [0.567, 0.796, 0.658], [0.256, 0.072, 0.068], [0.290, 0.106, 0.682], [0.684, 0.880, 0.313], [0.734, 0.924, 0.944], [0.432, 0.204, 0.343], [0.667, 0.331, 0.085], [0.755, 0.586, 0.430], [0.789, 0.607, 0.844], [0.992, 0.698, 0.169], [0.838, 0.150, 0.566]]}

***

No. 4
{"formula": "MgV3SnO8", "functional": "PBE with a Hubbard U", "state": "relaxed", "polymorph_energy_mev_per_atom": 20, "crystal_system": "monoclinic", "lattice": [[6.586, -0.066, 0.041], [-5.360, 3.828, -0.041], [-1.909, 0.622, 6.776]], "species": ["Mg", "V", "V", "V", "Sn", "O", "O", "O", "O", "O", "O", "O", "O"], "frac_coords": [[0.175, 0.825, 0.000], [0.402, 0.598, 0.316], [0.598, 0.402, 0.681], [0.312, 0.688, 0.736], [0.706, 0.294, 0.324], [0.146, 0.854, 0.711], [0.230, 0.770, 0.299], [0.349, 0.651, 0.988], [0.434, 0.566, 0.622], [0.562, 0.438, 0.388], [0.640, 0.360, 0.009], [0.768, 0.232, 0.649], [0.867, 0.133, 0.297]]}

***

No. 5
{"formula": "LiFe8O14F2", "functional": "PBE with a Hubbard U", "state": "relaxed", "polymorph_energy_mev_per_atom": 1, "crystal_system": "triclinic", "lattice": [[5.160, -1.651, -5.045], [-2.906, -6.218, -2.467], [-3.073, 4.245, -1.819]], "species": ["Li", "Fe", "Fe", "Fe", "Fe", "Fe", "Fe", "Fe", "Fe", "O", "O", "O", "O", "O", "O", "O", "O", "O", "O", "O", "O", "O", "O", "F", "F"], "frac_coords": [[0.368, 0.869, 0.235], [0.747, 0.239, 0.505], [0.522, 0.998, 0.966], [0.240, 0.268, 0.528], [0.754, 0.753, 0.479], [0.516, 0.487, 0.003], [0.980, 0.014, 0.008], [0.226, 0.760, 0.531], [0.020, 0.501, 0.022], [0.979, 0.172, 0.360], [0.920, 0.238, 0.857], [0.591, 0.258, 0.144], [0.333, 0.013, 0.633], [0.521, 0.334, 0.660], [0.776, 0.580, 0.146], [0.728, 0.905, 0.818], [0.249, 0.427, 0.885], [0.506, 0.652, 0.344], [0.645, 0.974, 0.320], [0.170, 0.496, 0.385], [0.410, 0.750, 0.865], [0.100, 0.779, 0.175], [0.007, 0.843, 0.660], [0.845, 0.519, 0.653], [0.261, 0.099, 0.152]]}

***

No. 6
{"formula": "LiCr2O3", "functional": "PBE with a Hubbard U", "state": "relaxed", "polymorph_energy_mev_per_atom": 25, "crystal_system": "monoclinic", "lattice": [[4.493, 2.643, 0.000], [-4.493, 2.643, 0.000], [0.000, 1.880, 4.930]], "species": ["Li", "Li", "Cr", "Cr", "Cr", "Cr", "O", "O", "O", "O", "O", "O"], "frac_coords": [[0.085, 0.915, 0.750], [0.915, 0.085, 0.250], [0.754, 0.246, 0.750], [0.414, 0.586, 0.750], [0.586, 0.414, 0.250], [0.246, 0.754, 0.250], [0.823, 0.642, 0.491], [0.642, 0.823, 0.991], [0.000, 0.500, 0.000], [0.358, 0.177, 0.009], [0.500, 0.000, 0.500], [0.177, 0.358, 0.509]]}